Entry from Materials Project: ZrTc2W after structural relaxation (r²SCAN).

Results
**DFT formation energy**: -0.3113 eV/atom

CIF file:
```
data_ZrTc2W
_chemical_formula_sum 'Zr4 Tc8 W4'
_symmetry_space_group_name_H-M 'F m -3 m'
_symmetry_Int_Tables_number 225
_symmetry_space_group_name_Hall '-F 4 2 3'
_cell_length_a 6.374
_cell_length_b 6.374
_cell_length_c 6.374
_cell_angle_alpha 90.00
_cell_angle_beta 90.00
_cell_angle_gamma 90.00
loop_
_atom_site_label
_atom_site_type_symbol
_atom_site_fract_x
_atom_site_fract_y
_atom_site_fract_z
Zr1 Zr 0.000 0.000 0.000
Tc1 Tc 0.250 0.250 0.250
W1 W 0.000 0.000 0.500
```